[1]
DFT (PBE) results for Be4AlCr after structural relaxation.

```
Be4AlCr
1.0
4.332 0.000 0.000
-2.166 3.751 0.000
0.000 0.000 7.001
Be Al Cr
8 2 2
Direct
0.000 0.000 0.000
0.000 0.000 0.500
0.169 0.337 0.242
0.169 0.831 0.242
0.337 0.169 0.758
0.663 0.831 0.242
0.831 0.169 0.758
0.831 0.663 0.758
0.333 0.667 0.576
0.667 0.333 0.424
0.333 0.667 0.948
0.667 0.333 0.052
```

energy relative to the lowest polymorph listed for this composition = 0.0000 eV/atom
formation enthalpy at 0 K = -0.1197 eV per atom

=====

[2]
DFT (PBE) results for Li3Ag after structural relaxation.

```
Li3Ag
1.0
5.815 0.000 0.000
-2.907 5.036 0.000
0.000 0.000 4.704
Li Ag
6 2
Direct
0.171 0.342 0.250
0.171 0.829 0.250
0.342 0.171 0.750
0.658 0.829 0.250
0.829 0.171 0.750
0.829 0.658 0.750
0.333 0.667 0.750
0.667 0.333 0.250
```

energy relative to the lowest polymorph listed for this composition = 0.0078 eV/atom
formation enthalpy at 0 K = -0.1492 eV per atom

=====

[3]
DFT (PBE) results for Hf8MgN8O4 after structural relaxation.

```
Hf8MgN8O4
1.0
5.428 0.000 0.000
2.713 4.746 0.000
2.014 -0.229 10.237
Hf Mg N O
8 1 8 4
Direct
0.000 0.000 0.000
0.065 0.384 0.763
0.191 0.350 0.468
0.327 0.350 0.028
0.508 0.677 0.547
0.615 0.686 0.247
0.749 0.041 0.729
0.916 0.019 0.293
0.627 0.706 0.972
0.009 0.706 0.876
0.296 0.988 0.130
0.432 0.346 0.624
0.544 0.982 0.386
0.704 0.326 0.883
0.820 0.668 0.629
0.839 0.381 0.391
0.964 0.707 0.142
0.116 0.051 0.623
0.230 0.687 0.384
0.366 0.056 0.871
0.650 0.313 0.150
```

energy relative to the lowest polymorph listed for this composition = 0.0193 eV/atom
formation enthalpy at 0 K = -2.0866 eV per atom

=====

[4]
DFT (PBE) results for Ca2Ni21B6 after structural relaxation.

```
Ca2Ni21B6
1.0
0.000 5.340 5.340
5.340 0.000 5.340
5.340 5.340 0.000
Ca Ni B
2 21 6
Direct
0.250 0.250 0.250
0.750 0.750 0.750
0.000 0.000 0.000
0.000 0.000 0.335
0.000 0.000 0.665
0.000 0.335 0.000
0.000 0.335 0.665
0.000 0.665 0.000
0.000 0.665 0.335
0.164 0.612 0.612
0.335 0.000 0.000
0.335 0.000 0.665
0.335 0.665 0.000
0.388 0.388 0.388
0.388 0.388 0.836
0.388 0.836 0.388
0.612 0.164 0.612
0.612 0.612 0.164
0.612 0.612 0.612
0.665 0.000 0.000
0.665 0.000 0.335
0.665 0.335 0.000
0.836 0.388 0.388
0.272 0.272 0.728
0.272 0.728 0.272
0.272 0.728 0.728
0.728 0.272 0.272
0.728 0.272 0.728
0.728 0.728 0.272
```

formation enthalpy at 0 K = -0.2433 eV per atom

=====

[5]
DFT (PBE) results for NdSiNi4 after structural relaxation.

```
NdSiNi4
1.0
2.599 -4.173 0.000
2.599 4.173 0.000
0.000 0.000 3.970
Nd Si Ni
1 1 4
Direct
0.000 0.000 0.000
0.500 0.500 0.500
0.000 0.500 0.500
0.343 0.657 0.000
0.500 0.000 0.500
0.657 0.343 0.000
```

formation enthalpy at 0 K = -0.5477 eV per atom

=====

[6]
DFT (PBE) results for AlPO4 after structural relaxation.

```
AlPO4
1.0
11.438 -6.949 0.000
11.438 6.949 0.000
-2.148 0.000 14.070
Al P O
16 16 64
Direct
0.037 0.631 0.596
0.042 0.818 0.991
0.053 0.271 0.697
0.145 0.373 0.062
0.182 0.958 0.509
0.271 0.053 0.197
0.369 0.963 0.904
0.373 0.145 0.562
0.627 0.855 0.438
0.631 0.037 0.096
0.729 0.947 0.803
0.818 0.042 0.491
0.855 0.627 0.938
0.947 0.729 0.303
0.958 0.182 0.009
0.963 0.369 0.404
0.036 0.632 0.100
0.046 0.276 0.199
0.048 0.814 0.490
0.151 0.370 0.560
0.186 0.952 0.010
0.276 0.046 0.699
0.368 0.964 0.400
0.370 0.151 0.060
0.630 0.849 0.940
0.632 0.036 0.600
0.724 0.954 0.301
0.814 0.048 0.990
0.849 0.630 0.440
0.952 0.186 0.510
0.954 0.724 0.801
0.964 0.368 0.900
0.025 0.651 0.208
0.025 0.656 0.718
0.026 0.764 0.874
0.032 0.771 0.386
0.062 0.084 0.481
0.073 0.716 0.071
0.078 0.350 0.952
0.081 0.352 0.153
0.082 0.721 0.557
0.084 0.062 0.981
0.094 0.355 0.642
0.095 0.347 0.464
0.128 0.512 0.077
0.137 0.491 0.570
0.145 0.848 0.498
0.152 0.173 0.236
0.152 0.855 0.002
0.173 0.152 0.736
0.229 0.968 0.114
0.236 0.974 0.626
0.277 0.288 0.565
0.279 0.918 0.943
0.284 0.927 0.429
0.288 0.277 0.065
0.344 0.975 0.782
0.347 0.095 0.964
0.349 0.975 0.292
0.350 0.078 0.452
0.352 0.081 0.653
0.355 0.094 0.142
0.488 0.872 0.423
0.491 0.137 0.070
0.509 0.863 0.930
0.512 0.128 0.577
0.645 0.906 0.858
0.648 0.919 0.347
0.650 0.922 0.548
0.651 0.025 0.708
0.653 0.905 0.036
0.656 0.025 0.218
0.712 0.723 0.935
0.716 0.073 0.571
0.721 0.082 0.057
0.723 0.712 0.435
0.764 0.026 0.374
0.771 0.032 0.886
0.827 0.848 0.264
0.848 0.145 0.998
0.848 0.827 0.764
0.855 0.152 0.502
0.863 0.509 0.430
0.872 0.488 0.923
0.905 0.653 0.536
0.906 0.645 0.358
0.916 0.938 0.019
0.918 0.279 0.443
0.919 0.648 0.847
0.922 0.650 0.048
0.927 0.284 0.929
0.938 0.916 0.519
0.968 0.229 0.614
0.974 0.236 0.126
0.975 0.344 0.282
0.975 0.349 0.792
```

formation enthalpy at 0 K = -3.1066 eV per atom

=====

Q: formation enthalpy at 0 K of number 4 (Ca2Ni21B6)?
A: -0.2433 eV per atom